No. 1
Crystalline UCr5P3 at its relaxed geometry. Source: the Materials Project, functional r²SCAN.

The value obtained for the theoretical density is 7989 kg/m³. Its crystal system is monoclinic. The formation energy comes out at -478.2 meV per atom. Its size of the total moment is 0.1067 μB/atom. As for the raw total energy: -20.735 eV/atom.

a b c (Å): 3.740 6.869 9.687
angles (deg): 80.82 90.00 90.00
Fractional positions:
Cr 0.250 0.453 0.913
P 0.750 0.901 0.347
P 0.750 0.432 0.323
Cr 0.250 0.397 0.489
Cr 0.750 0.318 0.725
P 0.250 0.099 0.653
Cr 0.750 0.149 0.495
P 0.250 0.748 0.013
U 0.250 0.187 0.216
P 0.750 0.252 0.987
Cr 0.750 0.916 0.098
U 0.750 0.813 0.784
Cr 0.250 0.851 0.505
P 0.250 0.568 0.677
Cr 0.250 0.682 0.275
Cr 0.750 0.547 0.087
Cr 0.250 0.084 0.902
Cr 0.750 0.603 0.511

No. 2
Crystalline Li4H6Ru at its relaxed geometry. Source: the Materials Project, functional r²SCAN.

The value obtained for the theoretical density is 2405 kg/m³. Its crystal system is trigonal. The formation energy comes out at -502.8 meV per atom. Its size of the total moment is 0.0000 μB/atom. As for the raw total energy: -5.567 eV/atom.

a b c (Å): 5.711 5.711 5.711
angles (deg): 90.19 90.19 90.19
Fractional positions:
H 0.211 0.548 0.440
Li 0.635 0.250 0.865
H 0.440 0.211 0.548
Li 0.250 0.865 0.635
Li 0.250 0.250 0.250
Li 0.135 0.365 0.750
H 0.952 0.289 0.060
H 0.452 0.560 0.789
Li 0.865 0.635 0.250
H 0.048 0.711 0.940
H 0.289 0.060 0.952
H 0.940 0.048 0.711
H 0.548 0.440 0.211
Ru 0.500 0.500 0.500
Li 0.365 0.750 0.135
H 0.711 0.940 0.048
Ru 0.000 0.000 0.000
Li 0.750 0.135 0.365
H 0.789 0.452 0.560
H 0.060 0.952 0.289
H 0.560 0.789 0.452
Li 0.750 0.750 0.750

No. 3
Crystalline Na2CdO2 at its relaxed geometry. Source: the Materials Project, functional r²SCAN.

The value obtained for the theoretical density is 4156 kg/m³. Its crystal system is triclinic. The formation energy comes out at -1358.7 meV per atom. Its size of the total moment is 0.0000 μB/atom. As for the raw total energy: -9.194 eV/atom.

a b c (Å): 9.234 9.266 9.245
angles (deg): 109.44 109.57 109.45
Fractional positions:
O 0.740 0.271 0.516
O 0.983 0.989 0.494
Na 0.043 0.273 0.008
O 0.546 0.750 0.291
Cd 0.267 0.771 0.729
Na 0.224 0.448 0.464
Cd 0.544 0.541 0.781
Na 0.732 0.269 0.786
Na 0.283 0.748 0.238
O 0.750 0.776 0.036
O 0.467 0.262 0.712
O 0.290 0.543 0.754
Cd 0.768 0.719 0.255
Na 0.972 0.738 0.000
Cd 0.972 0.514 0.233
O 0.723 0.467 0.247
Cd 0.001 0.962 0.740
Na 0.035 0.492 0.770
Cd 0.728 0.217 0.259
Na 0.531 0.759 0.543
O 0.954 0.252 0.216
Na 0.497 0.236 0.954
Na 0.777 0.548 0.535
O 0.004 0.507 0.009
Na 0.490 0.770 0.042
O 0.043 0.755 0.779
Na 0.449 0.456 0.226
O 0.788 0.028 0.741
Na 0.280 0.017 0.049
O 0.502 0.001 0.993
O 0.505 0.494 0.509
Na 0.223 0.275 0.735
O 0.244 0.714 0.471
Cd 0.456 0.225 0.452
Na 0.231 0.967 0.510
O 0.244 0.212 0.960
O 0.226 0.976 0.257
Na 0.730 0.985 0.949
Na 0.007 0.044 0.268
Cd 0.750 0.029 0.490

No. 4
Crystalline Nb4Ni2C at its relaxed geometry. Source: the Materials Project, functional r²SCAN.

The value obtained for the theoretical density is 8294 kg/m³. Its crystal system is cubic. The formation energy comes out at -355.2 meV per atom. Its size of the total moment is 0.0000 μB/atom. As for the raw total energy: -19.333 eV/atom.

a b c (Å): 8.279 8.279 8.279
angles (deg): 60.00 60.00 60.00
Fractional positions:
Nb 0.625 0.625 0.125
Ni 0.513 0.829 0.829
Ni 0.829 0.513 0.829
Nb 0.067 0.434 0.433
Ni 0.421 0.421 0.737
Nb 0.625 0.125 0.625
Ni 0.829 0.829 0.513
Nb 0.125 0.625 0.625
C 0.125 0.125 0.625
Nb 0.433 0.067 0.067
C 0.125 0.125 0.125
Nb 0.817 0.816 0.183
C 0.625 0.125 0.125
Nb 0.625 0.625 0.625
Nb 0.067 0.433 0.066
Nb 0.067 0.067 0.433
Ni 0.737 0.421 0.421
Nb 0.183 0.817 0.184
Ni 0.421 0.737 0.421
Nb 0.433 0.067 0.434
Ni 0.421 0.421 0.421
Nb 0.183 0.183 0.817
Nb 0.183 0.816 0.817
C 0.125 0.625 0.125
Nb 0.817 0.183 0.183
Ni 0.829 0.829 0.829
Nb 0.817 0.183 0.816
Nb 0.433 0.434 0.067

No. 5
Crystalline TlCu2O2 at its relaxed geometry. Source: the Materials Project, functional r²SCAN.

The value obtained for the theoretical density is 8043 kg/m³. Its crystal system is orthorhombic. The formation energy comes out at -688.0 meV per atom. Its size of the total moment is 0.2000 μB/atom. As for the raw total energy: -18.052 eV/atom.

a b c (Å): 5.501 6.085 6.076
angles (deg): 120.05 116.91 90.00
Fractional positions:
Cu 0.500 0.000 0.000
Cu 0.000 0.000 0.500
Tl 0.105 0.356 0.211
O 0.298 0.264 0.596
Cu 0.500 0.500 0.000
O 0.702 0.736 0.404
O 0.702 0.168 0.404
O 0.298 0.832 0.596
Cu 0.500 0.000 0.500
Tl 0.895 0.644 0.789

No. 6
Crystalline HoTmPd2 at its relaxed geometry. Source: the Materials Project, functional r²SCAN.

The value obtained for the theoretical density is 11009 kg/m³. Its crystal system is cubic. The formation energy comes out at -960.0 meV per atom. Its size of the total moment is 0.0000 μB/atom. As for the raw total energy: -29.441 eV/atom.

a b c (Å): 4.886 4.886 4.886
angles (deg): 60.00 60.00 60.00
Fractional positions:
Pd 0.750 0.750 0.750
Tm 0.000 0.000 0.000
Ho 0.500 0.500 0.500
Pd 0.250 0.250 0.250

No. 7
Crystalline MgTe2O5 at its relaxed geometry. Source: the Materials Project, functional r²SCAN.

The value obtained for the theoretical density is 5149 kg/m³. Its crystal system is orthorhombic. The formation energy comes out at -1643.4 meV per atom. Its size of the total moment is 0.0000 μB/atom. As for the raw total energy: -12.252 eV/atom.

a b c (Å): 5.963 7.287 10.672
angles (deg): 90.00 90.00 90.00
Fractional positions:
O 0.051 0.351 0.065
O 0.187 0.190 0.293
O 0.051 0.149 0.565
Te 0.991 0.866 0.846
Te 0.009 0.366 0.654
Mg 0.750 0.000 0.558
Te 0.491 0.866 0.154
O 0.449 0.851 0.565
O 0.813 0.810 0.707
O 0.687 0.310 0.207
Te 0.991 0.634 0.346
O 0.551 0.149 0.435
O 0.750 0.000 0.939
O 0.313 0.810 0.293
Te 0.491 0.634 0.654
Te 0.509 0.366 0.346
O 0.687 0.190 0.707
O 0.750 0.500 0.439
O 0.449 0.649 0.065
Mg 0.250 0.500 0.942
Te 0.009 0.134 0.154
O 0.250 0.500 0.561
O 0.551 0.351 0.935
O 0.187 0.310 0.793
Te 0.509 0.134 0.846
Mg 0.750 0.500 0.058
O 0.813 0.690 0.207
O 0.949 0.851 0.435
O 0.313 0.690 0.793
O 0.949 0.649 0.935
O 0.250 0.000 0.061
Mg 0.250 0.000 0.442

No. 8
Crystalline PrErS3 at its relaxed geometry. Source: the Materials Project, functional r²SCAN.

The value obtained for the theoretical density is 5808 kg/m³. Its crystal system is monoclinic. The formation energy comes out at -2384.4 meV per atom. Its size of the total moment is 0.0000 μB/atom. As for the raw total energy: -19.871 eV/atom.

a b c (Å): 3.967 11.043 21.537
angles (deg): 78.58 90.00 90.00
Fractional positions:
S 0.750 0.795 0.635
S 0.750 0.037 0.271
S 0.250 0.357 0.514
S 0.250 0.746 0.324
Er 0.750 0.447 0.584
S 0.250 0.342 0.901
Pr 0.750 0.308 0.267
Er 0.750 0.522 0.913
Er 0.250 0.820 0.046
Pr 0.750 0.697 0.234
S 0.750 0.643 0.486
S 0.250 0.058 0.556
S 0.750 0.914 0.964
Er 0.250 0.478 0.087
S 0.750 0.494 0.780
S 0.250 0.636 0.964
Er 0.750 0.030 0.649
Pr 0.250 0.909 0.864
S 0.750 0.658 0.099
S 0.250 0.086 0.036
S 0.250 0.506 0.220
S 0.750 0.455 0.365
Er 0.750 0.180 0.954
S 0.750 0.254 0.676
S 0.750 0.942 0.444
Er 0.250 0.553 0.416
S 0.750 0.125 0.837
Pr 0.750 0.091 0.136
S 0.250 0.545 0.635
S 0.250 0.205 0.365
Pr 0.250 0.799 0.537
Pr 0.250 0.692 0.733
S 0.250 0.963 0.729
S 0.750 0.747 0.827
S 0.250 0.253 0.173
Pr 0.250 0.303 0.766
S 0.250 0.875 0.163
Er 0.250 0.970 0.351
S 0.750 0.364 0.036
Pr 0.750 0.201 0.463